Here is a relaxed SmGdB12 crystal from the Materials Project database. Energies are from GGA-PBE.

Lattice parameters (Å, degrees): 5.825 5.825 4.119 90.00 90.00 90.00
Space group P4/mmm (No. 123)
Inequivalent atoms, fractional coordinates:
Sm 0.000 0.000 0.000 [1 per cell]
Gd 0.500 0.500 0.000 [1 per cell]
B 0.000 0.500 0.199 [4 per cell]
B 0.150 0.350 0.500 [8 per cell]

Output
The value obtained for the electronic total energy is -7.525 eV/atom. The formation energy is -0.457 eV per atom.

Here is a relaxed SiO2 crystal from the Materials Project database. Energies are from GGA-PBE.

Lattice parameters (Å, degrees): 7.007 15.173 17.424 90.00 90.00 90.00
Space group Pbcm (No. 57)
Inequivalent atoms, fractional coordinates:
Si 0.070 0.161 0.041 [8 per cell]
Si 0.343 0.600 0.074 [8 per cell]
Si 0.385 0.227 0.159 [8 per cell]
Si 0.392 0.097 0.569 [8 per cell]
O 0.008 0.750 0.000 [4 per cell]
O 0.112 0.604 0.071 [8 per cell]
O 0.192 0.103 0.521 [8 per cell]
O 0.202 0.184 0.115 [8 per cell]
O 0.355 0.216 0.250 [4 per cell]
O 0.401 0.169 0.638 [8 per cell]
O 0.406 0.502 0.105 [8 per cell]
O 0.421 0.675 0.133 [8 per cell]
O 0.428 0.616 0.512 [8 per cell]

Output
The value obtained for the electronic total energy is -7.899 eV/atom. The magnetic moment comes out at 0.00 μB per formula unit. The formation energy is -3.250 eV per atom. The MP2020-corrected energy comes out at -802.26 eV per cell.

Here is a relaxed RbInS2 crystal from the Materials Project database. Energies are from GGA-PBE.

Lattice parameters (Å, degrees): 11.306 11.309 15.845 90.00 100.26 90.00
Space group C2/c (No. 15)
Inequivalent atoms, fractional coordinates:
Rb 0.035 0.188 0.388 [8 per cell]
Rb 0.215 0.438 0.112 [8 per cell]
In 0.102 0.188 0.661 [8 per cell]
In 0.146 0.437 0.840 [8 per cell]
S 0.000 0.055 0.750 [4 per cell]
S 0.000 0.430 0.250 [4 per cell]
S 0.046 0.312 0.937 [8 per cell]
S 0.204 0.063 0.565 [8 per cell]
S 0.242 0.187 0.250 [8 per cell]

Output
The value obtained for the electronic total energy is -3.945 eV/atom. The formation energy is -1.196 eV per atom. The MP2020-corrected energy comes out at -268.60 eV per cell.

Here is a relaxed Sm2MgTl crystal from the Materials Project database. Energies are from GGA-PBE.

Lattice parameters (Å, degrees): 7.707 7.707 7.707 90.00 90.00 90.00
Space group Fm-3m (No. 225)
Inequivalent atoms, fractional coordinates:
Sm 0.250 0.250 0.250 [8 per cell]
Mg 0.000 0.000 0.000 [4 per cell]
Tl 0.000 0.000 0.500 [4 per cell]

Output
The value obtained for the electronic total energy is -3.608 eV/atom. The formation energy is -0.258 eV per atom.

Here is a relaxed NdTa7O19 crystal from the Materials Project database. Energies are from GGA-PBE.

Lattice parameters (Å, degrees): 6.3108 6.3108 20.2167 90.00 90.00 120.00
Space group P6_322 (No. 182)
Inequivalent atoms, fractional coordinates:
Nd 0.3333 0.6667 0.2500 [2 per cell]
Ta 0.0036 0.3585 0.5944 [12 per cell]
Ta 0.3333 0.6667 0.7500 [2 per cell]
O 0.0000 0.3938 0.5000 [6 per cell]
O 0.0025 0.2437 0.0971 [12 per cell]
O 0.0491 0.4318 0.6936 [12 per cell]
O 0.3333 0.6667 0.1133 [4 per cell]
O 0.3333 0.6667 0.5894 [4 per cell]

Output
The value obtained for the electronic total energy is -9.661 eV/atom. The magnetic moment comes out at 0.00 μB per formula unit. The value obtained for the energy above the lowest structure with this stoichiometry is 0.009 eV per atom. The formation energy is -3.412 eV per atom. The MP2020-corrected energy comes out at -547.82 eV per cell.

Here is a relaxed NaLiMgPO4F crystal from the Materials Project database. Energies are from GGA-PBE.

Lattice parameters (Å, degrees): 6.896 11.347 5.082 90.00 90.02 90.00
Space group P2_1/c (No. 14)
Inequivalent atoms, fractional coordinates:
Na 0.011 0.165 0.247 [4 per cell]
Li 0.240 0.080 0.737 [4 per cell]
Mg 0.482 0.171 0.263 [4 per cell]
P 0.254 0.582 0.729 [4 per cell]
O 0.042 0.624 0.760 [4 per cell]
O 0.283 0.041 0.358 [4 per cell]
O 0.305 0.574 0.429 [4 per cell]
O 0.391 0.672 0.869 [4 per cell]
F 0.301 0.213 0.964 [4 per cell]

Output
The value obtained for the electronic total energy is -6.163 eV/atom. The magnetic moment comes out at 0.00 μB per formula unit. The formation energy is -2.970 eV per atom. The MP2020-corrected energy comes out at -234.72 eV per cell.

Here is a relaxed GdZnPd crystal from the Materials Project database. Energies are from GGA-PBE.

Lattice parameters (Å, degrees): 7.3605 7.3605 3.9257 90.00 90.00 120.00
Space group P-62m (No. 189)
Inequivalent atoms, fractional coordinates:
Gd 0.0000 0.4036 0.0000 [3 per cell]
Zn 0.0000 0.7497 0.5000 [3 per cell]
Pd 0.0000 0.0000 0.0000 [1 per cell]
Pd 0.3333 0.6667 0.5000 [2 per cell]

Output
The value obtained for the electronic total energy is -7.574 eV/atom. The formation energy is -0.735 eV per atom.

Here is a relaxed Pr4CoI5 crystal from the Materials Project database. Energies are from GGA-PBE.

Lattice parameters (Å, degrees): 19.466 4.316 9.383 90.00 103.36 90.00
Space group C2/m (No. 12)
Inequivalent atoms, fractional coordinates:
Pr 0.001 0.000 0.287 [4 per cell]
Pr 0.135 0.500 0.569 [4 per cell]
Co 0.000 0.500 0.500 [2 per cell]
I 0.000 0.500 0.000 [2 per cell]
I 0.167 0.000 0.838 [4 per cell]
I 0.173 0.000 0.331 [4 per cell]

Output
The value obtained for the electronic total energy is -4.453 eV/atom. The formation energy is -1.257 eV per atom. The MP2020-corrected energy comes out at -92.84 eV per cell.

Here is a relaxed Ba2SrTeO6 crystal from the Materials Project database. Energies are from GGA-PBE.

Lattice parameters (Å, degrees): 6.1889 6.1889 14.8998 90.00 90.00 120.00
Space group R-3 (No. 148, hexagonal axes)
Inequivalent atoms, fractional coordinates:
Ba 0.0000 0.0000 0.2479 [6 per cell]
Sr 0.0000 0.0000 0.5000 [3 per cell]
Te 0.0000 0.0000 0.0000 [3 per cell]
O 0.0399 0.5710 0.7426 [18 per cell]

Output
The value obtained for the electronic total energy is -6.154 eV/atom. The magnetic moment comes out at 0.00 μB per formula unit. The formation energy is -2.731 eV per atom. The MP2020-corrected energy comes out at -197.00 eV per cell.

Here is a relaxed Na2CaAl10H6O20 crystal from the Materials Project database. Energies are from GGA-PBE.

Lattice parameters (Å, degrees): 13.580 6.993 13.571 90.00 90.00 90.00
Space group Pmna (No. 53)
Inequivalent atoms, fractional coordinates:
Na 0.000 0.200 0.067 [4 per cell]
Ca 0.000 0.000 0.500 [2 per cell]
Al 0.117 0.231 0.315 [8 per cell]
Al 0.193 0.001 0.113 [8 per cell]
Al 0.250 0.385 0.750 [4 per cell]
H 0.000 0.306 0.615 [4 per cell]
H 0.000 0.367 0.862 [4 per cell]
H 0.158 0.500 0.000 [4 per cell]
O 0.000 0.211 0.369 [4 per cell]
O 0.120 0.149 0.191 [8 per cell]
O 0.129 0.000 0.000 [4 per cell]
O 0.161 0.465 0.303 [8 per cell]
O 0.185 0.086 0.395 [8 per cell]
O 0.198 0.228 0.836 [8 per cell]

Output
The value obtained for the electronic total energy is -5.784 eV/atom. The magnetic moment comes out at 12.00 μB per formula unit. The formation energy is -1.997 eV per atom. The MP2020-corrected energy comes out at -478.60 eV per cell.

Here is a relaxed Tb4Ge6Ir7 crystal from the Materials Project database. Energies are from GGA-PBE.

Lattice parameters (Å, degrees): 8.426 8.426 8.426 90.00 90.00 90.00
Space group Im-3m (No. 229)
Inequivalent atoms, fractional coordinates:
Tb 0.250 0.250 0.250 [8 per cell]
Ge 0.000 0.000 0.318 [12 per cell]
Ir 0.000 0.000 0.000 [2 per cell]
Ir 0.000 0.250 0.500 [12 per cell]

Output
The value obtained for the electronic total energy is -7.228 eV/atom. The formation energy is -0.866 eV per atom.